# 1
A relaxed structure of SnH8C2Br3N. Source: the Materials Project, functional GGA-PBE.

Cell lengths 12.8562, 12.9911, 13.1045 Å; angles 90.00, 90.00, 90.00 degrees
With the nearest neighbours (Å) after each atom.
Atoms (fractional coordinates):
Sn (0.2456, 0.0094, 0.1960)  3 Br 2.70
Sn (0.2456, 0.4906, 0.6960)  3 Br 2.70
Sn (0.2544, 0.5094, 0.1960)  3 Br 2.70
Sn (0.2544, 0.9906, 0.6960)  3 Br 2.70
Sn (0.7456, 0.0094, 0.3040)  3 Br 2.70
Sn (0.7456, 0.4906, 0.8040)  3 Br 2.70
Sn (0.7544, 0.5094, 0.3040)  3 Br 2.70
Sn (0.7544, 0.9906, 0.8040)  3 Br 2.70
H (0.0253, 0.1875, 0.6081)  1 C 1.09
H (0.0253, 0.3125, 0.1081)  1 C 1.09
H (0.0290, 0.2067, 0.3748)  1 C 1.10
H (0.0290, 0.2933, 0.8748)  1 C 1.10
H (0.0422, 0.1395, 0.0434)  1 N 1.04
H (0.0422, 0.3605, 0.5434)  1 N 1.04
H (0.0584, 0.6541, 0.5330)  1 N 1.04
H (0.0584, 0.8459, 0.0330)  1 N 1.04
H (0.0852, 0.6710, 0.9750)  1 C 1.09
H (0.0852, 0.8290, 0.4750)  1 C 1.09
H (0.0897, 0.7366, 0.3728)  1 C 1.10
H (0.0897, 0.7634, 0.8728)  1 C 1.10
H (0.0993, 0.1739, 0.8707)  1 C 1.10
H (0.0993, 0.3261, 0.3707)  1 C 1.10
H (0.1390, 0.2259, 0.4573)  1 C 1.09
H (0.1390, 0.2741, 0.9573)  1 C 1.09
H (0.3610, 0.7259, 0.4573)  1 C 1.09
H (0.3610, 0.7741, 0.9573)  1 C 1.09
H (0.4007, 0.6739, 0.8707)  1 C 1.10
H (0.4007, 0.8261, 0.3707)  1 C 1.10
H (0.4103, 0.2366, 0.3728)  1 C 1.10
H (0.4103, 0.2634, 0.8728)  1 C 1.10
H (0.4148, 0.1710, 0.9750)  1 C 1.09
H (0.4148, 0.3290, 0.4750)  1 C 1.09
H (0.4416, 0.1541, 0.5330)  1 N 1.04
H (0.4416, 0.3459, 0.0330)  1 N 1.04
H (0.4578, 0.6395, 0.0434)  1 N 1.04
H (0.4578, 0.8605, 0.5434)  1 N 1.04
H (0.4710, 0.7067, 0.3748)  1 C 1.10
H (0.4710, 0.7933, 0.8748)  1 C 1.10
H (0.4747, 0.6875, 0.6081)  1 C 1.09
H (0.4747, 0.8125, 0.1081)  1 C 1.09
H (0.5253, 0.1875, 0.8919)  1 C 1.09
H (0.5253, 0.3125, 0.3919)  1 C 1.09
H (0.5290, 0.2067, 0.1252)  1 C 1.10
H (0.5290, 0.2933, 0.6252)  1 C 1.10
H (0.5422, 0.1395, 0.4566)  1 N 1.04
H (0.5422, 0.3605, 0.9566)  1 N 1.04
H (0.5584, 0.6541, 0.9670)  1 N 1.04
H (0.5584, 0.8459, 0.4670)  1 N 1.04
H (0.5852, 0.6710, 0.5250)  1 C 1.09
H (0.5852, 0.8290, 0.0250)  1 C 1.09
H (0.5897, 0.7366, 0.1272)  1 C 1.10
H (0.5897, 0.7634, 0.6272)  1 C 1.10
H (0.5993, 0.1739, 0.6293)  1 C 1.10
H (0.5993, 0.3261, 0.1293)  1 C 1.10
H (0.6390, 0.2259, 0.0427)  1 C 1.09
H (0.6390, 0.2741, 0.5427)  1 C 1.09
H (0.8610, 0.7259, 0.0427)  1 C 1.09
H (0.8610, 0.7741, 0.5427)  1 C 1.09
H (0.9007, 0.6739, 0.6293)  1 C 1.10
H (0.9007, 0.8261, 0.1293)  1 C 1.10
H (0.9103, 0.2366, 0.1272)  1 C 1.10
H (0.9103, 0.2634, 0.6272)  1 C 1.10
H (0.9148, 0.1710, 0.5250)  1 C 1.09
H (0.9148, 0.3290, 0.0250)  1 C 1.09
H (0.9416, 0.1541, 0.9670)  1 N 1.04
H (0.9416, 0.3459, 0.4670)  1 N 1.04
H (0.9578, 0.6395, 0.4566)  1 N 1.04
H (0.9578, 0.8605, 0.9566)  1 N 1.04
H (0.9710, 0.7067, 0.1252)  1 C 1.10
H (0.9710, 0.7933, 0.6252)  1 C 1.10
H (0.9747, 0.6875, 0.8919)  1 C 1.09
H (0.9747, 0.8125, 0.3919)  1 C 1.09
C (0.0399, 0.7259, 0.9297)  3 H 1.09-1.10
C (0.0399, 0.7741, 0.4297)  3 H 1.09-1.10
C (0.0728, 0.2370, 0.9197)  3 H 1.09-1.10
C (0.0728, 0.2630, 0.4197)  3 H 1.09-1.10
C (0.4272, 0.7370, 0.9197)  3 H 1.09-1.10
C (0.4272, 0.7630, 0.4197)  3 H 1.09-1.10
C (0.4601, 0.2259, 0.9297)  3 H 1.09-1.10
C (0.4601, 0.2741, 0.4297)  3 H 1.09-1.10
C (0.5399, 0.7259, 0.5703)  3 H 1.09-1.10
C (0.5399, 0.7741, 0.0703)  3 H 1.09-1.10
C (0.5728, 0.2370, 0.5803)  3 H 1.09-1.10
C (0.5728, 0.2630, 0.0803)  3 H 1.09-1.10
C (0.9272, 0.7370, 0.5803)  3 H 1.09-1.10
C (0.9272, 0.7630, 0.0803)  3 H 1.09-1.10
C (0.9601, 0.2259, 0.5703)  3 H 1.09-1.10
C (0.9601, 0.2741, 0.0703)  3 H 1.09-1.10
Br (0.0364, 0.0172, 0.2112)  1 Sn 2.70, 1 H 2.71
Br (0.0364, 0.4828, 0.7112)  1 Sn 2.70, 1 H 2.71
Br (0.2244, 0.5239, 0.4938)  1 Sn 2.70, 1 H 2.77
Br (0.2244, 0.9761, 0.9938)  1 Sn 2.70, 1 H 2.77
Br (0.2341, 0.7150, 0.1745)  1 Sn 2.70
Br (0.2341, 0.7850, 0.6745)  1 Sn 2.70
Br (0.2659, 0.2150, 0.1745)  1 Sn 2.70
Br (0.2659, 0.2850, 0.6745)  1 Sn 2.70
Br (0.2756, 0.0239, 0.4938)  1 Sn 2.70, 1 H 2.77
Br (0.2756, 0.4761, 0.9938)  1 Sn 2.70, 1 H 2.77
Br (0.4636, 0.5172, 0.2112)  1 Sn 2.70, 1 H 2.71
Br (0.4636, 0.9828, 0.7112)  1 Sn 2.70, 1 H 2.71
Br (0.5364, 0.0172, 0.2888)  1 Sn 2.70, 1 H 2.71
Br (0.5364, 0.4828, 0.7888)  1 Sn 2.70, 1 H 2.71
Br (0.7244, 0.5239, 0.0062)  1 Sn 2.70, 1 H 2.77
Br (0.7244, 0.9761, 0.5062)  1 Sn 2.70, 1 H 2.77
Br (0.7341, 0.7150, 0.3255)  1 Sn 2.70
Br (0.7341, 0.7850, 0.8255)  1 Sn 2.70
Br (0.7659, 0.2150, 0.3255)  1 Sn 2.70
Br (0.7659, 0.2850, 0.8255)  1 Sn 2.70
Br (0.7756, 0.0239, 0.0062)  1 Sn 2.70, 1 H 2.77
Br (0.7756, 0.4761, 0.5062)  1 Sn 2.70, 1 H 2.77
Br (0.9636, 0.5172, 0.2888)  1 Sn 2.70, 1 H 2.71
Br (0.9636, 0.9828, 0.7888)  1 Sn 2.70, 1 H 2.71
N (0.0027, 0.1938, 0.0002)  2 H 1.04
N (0.0027, 0.3062, 0.5002)  2 H 1.04
N (0.4973, 0.6938, 0.0002)  2 H 1.04
N (0.4973, 0.8062, 0.5002)  2 H 1.04
N (0.5027, 0.1938, 0.4998)  2 H 1.04
N (0.5027, 0.3062, 0.9998)  2 H 1.04
N (0.9973, 0.6938, 0.4998)  2 H 1.04
N (0.9973, 0.8062, 0.9998)  2 H 1.04

Values from the calculation:
The space group is Pbca, No. 61. The value obtained for the total magnetization is 0.000 μB per cell. Its energy of formation is -0.4290 eV per atom.

# 2
A relaxed structure of SnH14C4Br4N2. Source: the Materials Project, functional GGA-PBE.

Cell lengths 6.7312, 12.5156, 8.6361 Å; angles 90.00, 96.73, 90.00 degrees
With the nearest neighbours (Å) after each atom.
Atoms (fractional coordinates):
Sn (0.0000, 0.0000, 0.0000)  2 N 2.34, 2 Br 2.61
Sn (0.0000, 0.5000, 0.5000)  2 N 2.34, 2 Br 2.61
H (0.1063, 0.0947, 0.3750)  1 C 1.10
H (0.1063, 0.4053, 0.8750)  1 C 1.10
H (0.1736, 0.2372, 0.1675)  1 C 1.09
H (0.1736, 0.2628, 0.6675)  1 C 1.09
H (0.2213, 0.5332, 0.8595)  1 C 1.10
H (0.2213, 0.9668, 0.3595)  1 C 1.10
H (0.3325, 0.1968, 0.0253)  1 C 1.10
H (0.3325, 0.3032, 0.5253)  1 C 1.10
H (0.3724, 0.0821, 0.4128)  1 C 1.10
H (0.3724, 0.4179, 0.9128)  1 C 1.10
H (0.3744, 0.0288, 0.1448)  1 N 1.03
H (0.3744, 0.4712, 0.6448)  1 N 1.03
H (0.4340, 0.2118, 0.2249)  1 C 1.10
H (0.4340, 0.2882, 0.7249)  1 C 1.10
H (0.5660, 0.7118, 0.2751)  1 C 1.10
H (0.5660, 0.7882, 0.7751)  1 C 1.10
H (0.6256, 0.5288, 0.3552)  1 N 1.03
H (0.6256, 0.9712, 0.8552)  1 N 1.03
H (0.6276, 0.5821, 0.0872)  1 C 1.10
H (0.6276, 0.9179, 0.5872)  1 C 1.10
H (0.6676, 0.6968, 0.4747)  1 C 1.10
H (0.6676, 0.8032, 0.9747)  1 C 1.10
H (0.7787, 0.0332, 0.6405)  1 C 1.10
H (0.7787, 0.4668, 0.1405)  1 C 1.10
H (0.8264, 0.7372, 0.3325)  1 C 1.09
H (0.8264, 0.7628, 0.8325)  1 C 1.09
H (0.8937, 0.5947, 0.1250)  1 C 1.10
H (0.8937, 0.9053, 0.6250)  1 C 1.10
C (0.2374, 0.0529, 0.3411)  3 H 1.10
C (0.2374, 0.4471, 0.8411)  3 H 1.10
C (0.3012, 0.1873, 0.1462)  3 H 1.09-1.10
C (0.3012, 0.3127, 0.6462)  3 H 1.09-1.10
C (0.6988, 0.6873, 0.3538)  3 H 1.09-1.10
C (0.6988, 0.8127, 0.8538)  3 H 1.09-1.10
C (0.7626, 0.5529, 0.1589)  3 H 1.10
C (0.7626, 0.9471, 0.6589)  3 H 1.10
Br (0.1583, 0.6848, 0.5835)  1 Sn 2.61
Br (0.1583, 0.8152, 0.0835)  1 Sn 2.61
Br (0.2504, 0.0189, 0.7870)  1 H 2.59, 1 Sn 2.65
Br (0.2504, 0.4811, 0.2870)  1 H 2.59, 1 Sn 2.65
Br (0.7496, 0.5189, 0.7130)  1 H 2.59, 1 Sn 2.65
Br (0.7496, 0.9811, 0.2130)  1 H 2.59, 1 Sn 2.65
Br (0.8417, 0.1848, 0.9165)  1 Sn 2.61
Br (0.8417, 0.3152, 0.4165)  1 Sn 2.61
N (0.2558, 0.0737, 0.1745)  1 H 1.03
N (0.2558, 0.4263, 0.6745)  1 H 1.03
N (0.7442, 0.5737, 0.3255)  1 H 1.03
N (0.7442, 0.9263, 0.8255)  1 H 1.03

Values from the calculation:
The space group is P2_1/c, No. 14. The value obtained for the total magnetization is 0.001 μB per cell. Its energy of formation is -0.3441 eV per atom.

# 3
A relaxed structure of SnH5CBr3N2. Source: the Materials Project, functional GGA-PBE.

Cell lengths 6.2202, 5.9196, 5.9196 Å; angles 87.32, 90.00, 90.00 degrees
With the nearest neighbours (Å) after each atom.
Atoms (fractional coordinates):
Sn (0.0000, 0.0000, 0.0000)  6 Br 2.96-3.12
H (0.1790, 0.5472, 0.5472)  1 N 1.01
H (0.2984, 0.3621, 0.3621)  1 N 1.02
H (0.5000, 0.6795, 0.6795)  1 C 1.09
H (0.7016, 0.3621, 0.3621)  1 N 1.02
H (0.8210, 0.5472, 0.5472)  1 N 1.01
C (0.5000, 0.5518, 0.5518)  1 H 1.09
Br (0.0000, 0.5015, 0.9838)  4 H 2.82-2.99, 2 Sn 2.96-2.97
Br (0.0000, 0.9838, 0.5015)  4 H 2.82-2.99, 2 Sn 2.96-2.97
Br (0.5000, 0.0235, 0.0235)  3 H 2.95-3.16, 2 Sn 3.12
N (0.3138, 0.4805, 0.4805)  2 H 1.01-1.02
N (0.6862, 0.4805, 0.4805)  2 H 1.01-1.02

Values from the calculation:
The space group is Amm2, No. 38. The value obtained for the total magnetization is 0.000 μB per cell. Its energy of formation is -0.5097 eV per atom.

> energy of formation of number 2 (SnH14C4Br4N2)?

-0.3441 eV per atom